No. 1
An optimized crystal structure of PrH20S4N5O16. Source: the Materials Project, functional PBE-GGA.

a = 12.3046 Å, b = 12.3046 Å, c = 9.4471 Å
α = 83.77°, β = 83.77°, γ = 140.71°
Sites, in units of the cell vectors:
S 0.1018 0.2253 0.6302
S 0.5297 0.8821 0.0847
S 0.8821 0.5297 0.5847
S 0.1147 0.4691 0.9216
S 0.4691 0.1147 0.4216
S 0.7761 0.8994 0.3726
S 0.8994 0.7761 0.8726
S 0.2253 0.1018 0.1302
O 0.0263 0.6786 0.6449
O 0.8679 0.6507 0.9783
O 0.3968 0.1513 0.5132
O 0.6017 0.8454 0.9915
O 0.9714 0.3233 0.8601
O 0.9557 0.5003 0.4830
O 0.6507 0.8679 0.4783
O 0.1723 0.1561 0.0432
O 0.0656 0.9064 0.2199
O 0.5054 0.0489 0.5222
O 0.6786 0.0263 0.1449
O 0.7926 0.6922 0.7632
O 0.2020 0.3013 0.7447
O 0.5003 0.9557 0.9830
O 0.3605 0.7187 0.2023
O 0.3582 0.1420 0.0252
O 0.1513 0.3968 0.0132
O 0.8297 0.8452 0.4590
O 0.0929 0.9368 0.7777
O 0.7187 0.3605 0.7023
O 0.1561 0.1723 0.5432
O 0.3013 0.2020 0.2447
O 0.9368 0.0929 0.2777
O 0.1420 0.3582 0.5252
O 0.6922 0.7926 0.2632
O 0.6386 0.2803 0.3027
O 0.2803 0.6386 0.8027
O 0.8454 0.6017 0.4915
O 0.8452 0.8297 0.9590
O 0.0489 0.5054 0.0222
O 0.9064 0.0656 0.7199
O 0.3233 0.9714 0.3601
N 0.3036 0.7040 0.5104
N 0.3243 0.4552 0.2280
N 0.7040 0.3036 0.0104
N 0.8832 0.2792 0.3139
N 0.2792 0.8832 0.8139
N 0.4552 0.3243 0.7280
N 0.7235 0.1201 0.6915
N 0.6715 0.5430 0.2744
N 0.1201 0.7235 0.1915
N 0.5430 0.6715 0.7744
H 0.2153 0.6940 0.4923
H 0.8290 0.2511 0.6932
H 0.6574 0.2747 0.1252
H 0.7234 0.5423 0.3536
H 0.8875 0.3364 0.3900
H 0.9150 0.2243 0.3426
H 0.4144 0.5408 0.7924
H 0.6940 0.2153 0.9923
H 0.4175 0.2531 0.8355
H 0.3622 0.3128 0.7256
H 0.6337 0.6801 0.7791
H 0.3364 0.8875 0.8900
H 0.5408 0.4144 0.2924
H 0.6289 0.2916 0.9560
H 0.1094 0.6638 0.1145
H 0.2916 0.6289 0.4560
H 0.1782 0.7570 0.8012
H 0.2531 0.4175 0.3355
H 0.0428 0.6305 0.2991
H 0.8359 0.4328 0.9719
H 0.2511 0.8290 0.1932
H 0.6801 0.6337 0.2791
H 0.4535 0.2696 0.6505
H 0.2243 0.9150 0.8426
H 0.2696 0.4535 0.1505
H 0.4560 0.5838 0.2056
H 0.9703 0.3758 0.2085
H 0.2747 0.6574 0.6252
H 0.6638 0.1094 0.6145
H 0.4328 0.8359 0.4719
H 0.3758 0.9703 0.7085
H 0.5838 0.4560 0.7056
H 0.7477 0.5856 0.1676
H 0.6305 0.0428 0.7991
H 0.3128 0.3622 0.2256
H 0.5856 0.7477 0.6676
H 0.7570 0.1782 0.3012
H 0.5423 0.7234 0.8536
H 0.7732 0.0815 0.6712
H 0.0815 0.7732 0.1712
Pr 0.9233 0.0748 0.0018
Pr 0.0748 0.9233 0.5018

Summary:
- Space group: Cc, No. 9
- Offset from the most stable computed form: 0.000 eV per atom
- Energy: -520.1 eV/cell
- Spin magnetization: 0.0 μB/cell

***

No. 2
An optimized crystal structure of Ca3CuN3. Source: the Materials Project, functional PBE-GGA.

a = 7.1895 Å, b = 7.1847 Å, c = 5.0233 Å
α = 90.00°, β = 90.00°, γ = 119.98°
Sites, in units of the cell vectors:
Ca 0.0726 0.3571 0.7500
Ca 0.3570 0.2844 0.2500
Ca 0.2848 0.9270 0.7500
Ca 0.6430 0.7156 0.7500
Ca 0.7152 0.0730 0.2500
Ca 0.9274 0.6429 0.2500
N 0.3038 0.9134 0.2500
N 0.9136 0.6095 0.7500
N 0.0864 0.3905 0.2500
N 0.6962 0.0866 0.7500
N 0.3911 0.3043 0.7500
N 0.6089 0.6957 0.2500
Cu 0.6664 0.3333 0.7500
Cu 0.3336 0.6667 0.2500

Summary:
- Space group: P6_3/m, No. 176
- Energy: -76.5 eV/cell
- Spin magnetization: 4.0 μB/cell

***

No. 3
An optimized crystal structure of Sr3Sn2O7. Source: the Materials Project, functional PBE-GGA.

a = 10.7645 Å, b = 10.7645 Å, c = 5.8014 Å
α = 90.00°, β = 90.00°, γ = 148.26°
Sites, in units of the cell vectors:
Sn 0.3505 0.1529 0.7500
Sn 0.8471 0.6495 0.2500
Sn 0.6495 0.8471 0.2500
Sn 0.1529 0.3505 0.7500
Sr 0.9498 0.5753 0.7500
Sr 0.4247 0.0502 0.2500
Sr 0.5753 0.9498 0.7500
Sr 0.2429 0.2429 0.2500
Sr 0.0502 0.4247 0.2500
Sr 0.7571 0.7571 0.7500
O 0.9919 0.3864 0.7500
O 0.0825 0.9175 0.5000
O 0.6136 0.0081 0.2500
O 0.3264 0.3264 0.7500
O 0.9175 0.0825 0.0000
O 0.6736 0.6736 0.2500
O 0.0825 0.9175 0.0000
O 0.6134 0.3866 0.0000
O 0.9175 0.0825 0.5000
O 0.3864 0.9919 0.7500
O 0.0081 0.6136 0.2500
O 0.3866 0.6134 0.0000
O 0.6134 0.3866 0.5000
O 0.3866 0.6134 0.5000

Summary:
- Space group: Cmcm, No. 63
- Energy: -151.1 eV/cell

***

No. 4
An optimized crystal structure of ErSiPd2. Source: the Materials Project, functional PBE-GGA.

a = 5.5090 Å, b = 7.0025 Å, c = 7.2848 Å
α = 90.00°, β = 90.00°, γ = 90.00°
Sites, in units of the cell vectors:
Pd 0.9057 0.9485 0.1792
Pd 0.4057 0.0515 0.3208
Pd 0.4057 0.4485 0.3208
Pd 0.9057 0.5515 0.1792
Pd 0.0943 0.4485 0.8208
Pd 0.5943 0.5515 0.6792
Pd 0.0943 0.0515 0.8208
Pd 0.5943 0.9485 0.6792
Er 0.3600 0.7500 0.0272
Er 0.1400 0.7500 0.5272
Er 0.8600 0.2500 0.4728
Er 0.6400 0.2500 0.9728
Si 0.3602 0.2500 0.6210
Si 0.1398 0.2500 0.1210
Si 0.8602 0.7500 0.8790
Si 0.6398 0.7500 0.3790

Summary:
- Space group: Pnma, No. 62
- Energy: -97.3 eV/cell

***

Number 1: energy of formation from the pure elements -1.326 eV/atom. Number 2: energy of formation from the pure elements -0.600 eV/atom. Number 3: energy of formation from the pure elements -2.722 eV/atom. Number 4: energy of formation from the pure elements -0.993 eV/atom.